A plane-wave DFT calculation with PBE was carried out for an optimized crystal structure of LiZn4Sn4O8.

Crystal system: triclinic
Energy of formation from the pure elements (meV/atom): -1536
Energy relative to the lowest polymorph listed for this composition (meV/atom): 47
Size of the total moment (Bohr magnetons per cell): 0.00

Unit cell a=3.3847 b=8.1831 c=9.9688 alpha=90.50 beta=98.09 gamma=95.01
Space group P1 (No. 1)
Asymmetric unit:
Li 0.0000 0.0000 0.0000 (multiplicity 1)
Zn 0.0039 0.4506 0.7061 (multiplicity 1)
Zn 0.5569 0.8893 0.5300 (multiplicity 1)
Zn 0.5982 0.7187 0.8958 (multiplicity 1)
Zn 0.9140 0.6316 0.3376 (multiplicity 1)
Sn 0.1659 0.4091 0.0618 (multiplicity 1)
Sn 0.2220 0.0631 0.7568 (multiplicity 1)
Sn 0.3495 0.3000 0.4554 (multiplicity 1)
Sn 0.5574 0.9854 0.2259 (multiplicity 1)
O 0.0678 0.5728 0.8828 (multiplicity 1)
O 0.0883 0.0305 0.5439 (multiplicity 1)
O 0.4554 0.7657 0.3561 (multiplicity 1)
O 0.4699 0.3173 0.6748 (multiplicity 1)
O 0.4923 0.8965 0.0219 (multiplicity 1)
O 0.6207 0.8721 0.7340 (multiplicity 1)
O 0.7401 0.5334 0.1502 (multiplicity 1)
O 0.9338 0.4788 0.4956 (multiplicity 1)



A plane-wave DFT calculation with PBE was carried out for an optimized crystal structure of SrLi2Ti6O14.

Crystal system: orthorhombic
Energy of formation from the pure elements (meV/atom): -3393
Size of the total moment (Bohr magnetons per cell): 0.01

Unit cell a=16.7356 b=11.2857 c=11.5614 alpha=90.00 beta=90.00 gamma=90.00
Space group Cmce (No. 64)
Asymmetric unit:
Sr 0.0000 0.1466 0.1211 (multiplicity 8)
Li 0.1862 0.2448 0.6217 (multiplicity 16)
Ti 0.1076 0.1166 0.3851 (multiplicity 16)
Ti 0.1087 0.1263 0.8596 (multiplicity 16)
Ti 0.2394 0.0000 0.0000 (multiplicity 8)
Ti 0.2500 0.0070 0.2500 (multiplicity 8)
O 0.0000 0.0836 0.8771 (multiplicity 8)
O 0.0000 0.0901 0.3662 (multiplicity 8)
O 0.1078 0.2472 0.2589 (multiplicity 16)
O 0.1078 0.2476 0.9828 (multiplicity 16)
O 0.1288 0.0000 0.0000 (multiplicity 8)
O 0.1322 0.0044 0.2500 (multiplicity 16)
O 0.1326 0.0000 0.5000 (multiplicity 8)
O 0.2338 0.1143 0.8719 (multiplicity 16)
O 0.2373 0.1166 0.3782 (multiplicity 16)



A plane-wave DFT calculation with PBE was carried out for an optimized crystal structure of LiTaO3.

Crystal system: orthorhombic
Energy of formation from the pure elements (meV/atom): -2873
Size of the total moment (Bohr magnetons per cell): 0.00

Unit cell a=6.4144 b=8.5484 c=4.9278 alpha=90.00 beta=90.00 gamma=90.00
Space group Pnma (No. 62)
Asymmetric unit:
Li 0.0000 0.0000 0.0000 (multiplicity 4)
Ta 0.1872 0.2500 0.4622 (multiplicity 4)
O 0.0341 0.7500 0.8121 (multiplicity 4)
O 0.1821 0.0805 0.6820 (multiplicity 8)



A plane-wave DFT calculation with PBE was carried out for an optimized crystal structure of LiTaO3.

Crystal system: tetragonal
Energy of formation from the pure elements (meV/atom): -3039
Size of the total moment (Bohr magnetons per cell): 0.00

Unit cell a=5.4445 b=5.4445 c=3.9426 alpha=90.00 beta=90.00 gamma=90.00
Space group P4/mbm (No. 127)
Asymmetric unit:
Li 0.0000 0.5000 0.0000 (multiplicity 2)
Ta 0.0000 0.0000 0.5000 (multiplicity 2)
O 0.0000 0.0000 0.0000 (multiplicity 2)
O 0.1839 0.3161 0.5000 (multiplicity 4)



A plane-wave DFT calculation with PBE was carried out for an optimized crystal structure of Li3Ta12O31.

Crystal system: monoclinic
Energy of formation from the pure elements (meV/atom): -3196
Size of the total moment (Bohr magnetons per cell): 0.00

Unit cell a=9.0574 b=3.9002 c=17.0831 alpha=90.00 beta=90.43 gamma=90.00
Space group Pm (No. 6)
Asymmetric unit:
Li 0.0000 0.0000 0.0000 (multiplicity 1)
Li 0.0046 0.0000 0.7327 (multiplicity 1)
Li 0.0901 0.0000 0.4923 (multiplicity 1)
Ta 0.1027 0.5000 0.3600 (multiplicity 1)
Ta 0.2388 0.5000 0.6720 (multiplicity 1)
Ta 0.2430 0.5000 0.0557 (multiplicity 1)
Ta 0.3566 0.5000 0.8648 (multiplicity 1)
Ta 0.4424 0.5000 0.4829 (multiplicity 1)
Ta 0.4547 0.5000 0.2480 (multiplicity 1)
Ta 0.6441 0.5000 0.7471 (multiplicity 1)
Ta 0.6490 0.5000 0.9845 (multiplicity 1)
Ta 0.7424 0.5000 0.3666 (multiplicity 1)
Ta 0.8517 0.5000 0.5566 (multiplicity 1)
Ta 0.8670 0.5000 0.1710 (multiplicity 1)
Ta 0.9907 0.5000 0.8647 (multiplicity 1)
O 0.0434 0.5000 0.1051 (multiplicity 1)
O 0.0469 0.5000 0.6153 (multiplicity 1)
O 0.1032 0.0000 0.3714 (multiplicity 1)
O 0.1629 0.5000 0.7891 (multiplicity 1)
O 0.1653 0.5000 0.9419 (multiplicity 1)
O 0.2096 0.0000 0.6795 (multiplicity 1)
O 0.2187 0.0000 0.0533 (multiplicity 1)
O 0.2352 0.5000 0.4528 (multiplicity 1)
O 0.2533 0.5000 0.2819 (multiplicity 1)
O 0.3437 0.0000 0.8659 (multiplicity 1)
O 0.3814 0.5000 0.5921 (multiplicity 1)
O 0.3873 0.5000 0.1419 (multiplicity 1)
O 0.4209 0.5000 0.7471 (multiplicity 1)
O 0.4237 0.5000 0.9842 (multiplicity 1)
O 0.4540 0.0000 0.4823 (multiplicity 1)
O 0.5072 0.5000 0.3626 (multiplicity 1)
O 0.5848 0.5000 0.8649 (multiplicity 1)
O 0.6424 0.0000 0.7447 (multiplicity 1)
O 0.6435 0.0000 0.9843 (multiplicity 1)
O 0.6674 0.5000 0.2448 (multiplicity 1)
O 0.6720 0.5000 0.4822 (multiplicity 1)
O 0.7124 0.5000 0.6380 (multiplicity 1)
O 0.7176 0.5000 0.0917 (multiplicity 1)
O 0.7408 0.0000 0.3629 (multiplicity 1)
O 0.8576 0.5000 0.7769 (multiplicity 1)
O 0.8591 0.5000 0.9527 (multiplicity 1)
O 0.8756 0.0000 0.1778 (multiplicity 1)
O 0.8860 0.0000 0.5508 (multiplicity 1)
O 0.9265 0.5000 0.2898 (multiplicity 1)
O 0.9294 0.5000 0.4399 (multiplicity 1)
O 0.9940 0.0000 0.8658 (multiplicity 1)



A plane-wave DFT calculation with PBE was carried out for an optimized crystal structure of Li3TaO4.

Crystal system: monoclinic
Energy of formation from the pure elements (meV/atom): -2851
Energy relative to the lowest polymorph listed for this composition (meV/atom): 1
Size of the total moment (Bohr magnetons per cell): 0.00

Unit cell a=6.0802 b=6.0577 c=12.9562 alpha=90.00 beta=103.44 gamma=90.00
Space group P2/c (No. 13)
Asymmetric unit:
Li 0.0000 0.1115 0.2500 (multiplicity 2)
Li 0.0000 0.3358 0.7500 (multiplicity 2)
Li 0.1286 0.1241 0.5830 (multiplicity 4)
Li 0.1727 0.3778 0.0908 (multiplicity 4)
Li 0.3256 0.1251 0.9236 (multiplicity 4)
Li 0.5000 0.3776 0.7500 (multiplicity 2)
Ta 0.3021 0.3773 0.4165 (multiplicity 4)
Ta 0.5000 0.0929 0.2500 (multiplicity 2)
O 0.0936 0.3869 0.9118 (multiplicity 4)
O 0.0980 0.1401 0.4209 (multiplicity 4)
O 0.2606 0.1116 0.7451 (multiplicity 4)
O 0.2718 0.3626 0.2591 (multiplicity 4)
O 0.4290 0.3871 0.5739 (multiplicity 4)
O 0.4348 0.1424 0.0926 (multiplicity 4)



What did the sixth record say?
A plane-wave DFT calculation with PBE was carried out for an optimized crystal structure of Li3TaO4.

Crystal system: monoclinic
Energy of formation from the pure elements (meV/atom): -2851
Energy relative to the lowest polymorph listed for this composition (meV/atom): 1
Size of the total moment (Bohr magnetons per cell): 0.00

Unit cell a=6.0802 b=6.0577 c=12.9562 alpha=90.00 beta=103.44 gamma=90.00
Space group P2/c (No. 13)
Asymmetric unit:
Li 0.0000 0.1115 0.2500 (multiplicity 2)
Li 0.0000 0.3358 0.7500 (multiplicity 2)
Li 0.1286 0.1241 0.5830 (multiplicity 4)
Li 0.1727 0.3778 0.0908 (multiplicity 4)
Li 0.3256 0.1251 0.9236 (multiplicity 4)
Li 0.5000 0.3776 0.7500 (multiplicity 2)
Ta 0.3021 0.3773 0.4165 (multiplicity 4)
Ta 0.5000 0.0929 0.2500 (multiplicity 2)
O 0.0936 0.3869 0.9118 (multiplicity 4)
O 0.0980 0.1401 0.4209 (multiplicity 4)
O 0.2606 0.1116 0.7451 (multiplicity 4)
O 0.2718 0.3626 0.2591 (multiplicity 4)
O 0.4290 0.3871 0.5739 (multiplicity 4)
O 0.4348 0.1424 0.0926 (multiplicity 4)



Question: Which formula does entry 5 have?
Answer: Li3Ta12O31



Question: Among the records above, which one has the highest energy of formation from the pure elements?
Answer: LiZn4Sn4O8